1.
# PBE-GGA Nb8S8O45, relaxed
data_Nb8S8O45
_cell_length_a 10.5948
_cell_length_b 10.5948
_cell_length_c 26.9379
_cell_angle_alpha 90.00
_cell_angle_beta 90.00
_cell_angle_gamma 120.00
_symmetry_space_group_name_H-M 'R -3'
_symmetry_Int_Tables_number 148
_symmetry_space_group_name_Hall '-R 3'
loop_
_atom_site_label
_atom_site_type_symbol
_atom_site_fract_x
_atom_site_fract_y
_atom_site_fract_z
Nb1 Nb 0.0000 0.0000 0.1241
Nb2 Nb 0.0044 0.5514 0.3749
S1 S 0.0000 0.0000 0.3532
S2 S 0.0643 0.5638 0.8826
O1 O 0.0000 0.0000 0.4059
O2 O 0.0000 0.0000 0.5000
O3 O 0.0018 0.8685 0.6680
O4 O 0.0248 0.1963 0.7520
O5 O 0.0297 0.4287 0.9128
O6 O 0.0395 0.2688 0.4662
O7 O 0.0438 0.6196 0.6678
O8 O 0.0695 0.1770 0.9140
O9 O 0.0744 0.1761 0.1732
# DFT total energy, eV per atom: -7.2942



2.
# PBE-GGA NbS2O8, relaxed
data_NbS2O8
_cell_length_a 9.307
_cell_length_b 13.655
_cell_length_c 9.440
_cell_angle_alpha 90.00
_cell_angle_beta 90.00
_cell_angle_gamma 90.00
_symmetry_space_group_name_H-M 'P b c a'
_symmetry_Int_Tables_number 61
loop_
_symmetry_equiv_pos_as_xyz
'x,y,z'
'-x,-y,-z'
'-x+1/2,-y,z+1/2'
'x+1/2,y,-z+1/2'
'x+1/2,-y+1/2,-z'
'-x+1/2,y+1/2,z'
'-x,y+1/2,-z+1/2'
'x,-y+1/2,z+1/2'
loop_
_atom_site_label
_atom_site_type_symbol
_atom_site_fract_x
_atom_site_fract_y
_atom_site_fract_z
Nb1 Nb 0.104 0.127 0.142
S1 S 0.067 0.722 0.072
S2 S 0.188 0.013 0.840
O1 O 0.008 0.648 0.982
O2 O 0.014 0.716 0.225
O3 O 0.031 0.675 0.526
O4 O 0.033 0.514 0.306
O5 O 0.195 0.028 0.998
O6 O 0.228 0.081 0.312
O7 O 0.230 0.719 0.083
O8 O 0.237 0.095 0.760
# DFT total energy, eV per atom: -6.7939



3.
# PBE-GGA ScNbSiS2O12, relaxed
data_ScNbSiS2O12
_cell_length_a 15.455
_cell_length_b 8.908
_cell_length_c 22.941
_cell_angle_alpha 90.00
_cell_angle_beta 90.03
_cell_angle_gamma 90.00
_symmetry_space_group_name_H-M 'C 1 c 1'
_symmetry_Int_Tables_number 9
loop_
_symmetry_equiv_pos_as_xyz
'x,y,z'
'x,-y,z+1/2'
'x+1/2,y+1/2,z'
'x+1/2,-y+1/2,z+1/2'
loop_
_atom_site_label
_atom_site_type_symbol
_atom_site_fract_x
_atom_site_fract_y
_atom_site_fract_z
Sc1 Sc 0.000 0.001 0.000
Sc2 Sc 0.165 0.494 0.334
Sc3 Sc 0.336 0.013 0.168
Nb1 Nb 0.167 0.498 0.120
Nb2 Nb 0.341 0.000 0.453
Nb3 Nb 0.495 0.487 0.286
Si1 Si 0.003 0.286 0.896
Si2 Si 0.305 0.355 0.229
Si3 Si 0.477 0.148 0.062
S1 S 0.023 0.354 0.228
S2 S 0.142 0.140 0.395
S3 S 0.165 0.214 0.727
S4 S 0.189 0.143 0.061
S5 S 0.330 0.285 0.561
S6 S 0.355 0.356 0.894
O1 O 0.009 0.182 0.951
O2 O 0.018 0.187 0.236
O3 O 0.060 0.424 0.279
O4 O 0.072 0.435 0.574
O5 O 0.078 0.382 0.175
O6 O 0.079 0.398 0.882
O7 O 0.086 0.114 0.735
O8 O 0.089 0.116 0.446
O9 O 0.102 0.072 0.342
O10 O 0.102 0.085 0.053
O11 O 0.146 0.309 0.674
O12 O 0.155 0.301 0.386
O13 O 0.176 0.305 0.779
O14 O 0.180 0.313 0.070
O15 O 0.227 0.077 0.113
O16 O 0.229 0.067 0.404
O17 O 0.239 0.118 0.716
O18 O 0.243 0.121 0.009
O19 O 0.249 0.380 0.568
O20 O 0.250 0.396 0.285
O21 O 0.259 0.436 0.171
O22 O 0.269 0.416 0.885
O23 O 0.314 0.190 0.508
O24 O 0.321 0.181 0.219
O25 O 0.341 0.195 0.613
O26 O 0.346 0.187 0.902
O27 O 0.395 0.419 0.946
O28 O 0.403 0.386 0.552
O29 O 0.403 0.441 0.238
O30 O 0.410 0.114 0.405
O31 O 0.412 0.375 0.841
O32 O 0.417 0.108 0.116
O33 O 0.426 0.065 0.003
O34 O 0.435 0.090 0.718
O35 O 0.484 0.327 0.337
O36 O 0.490 0.320 0.048
# DFT total energy, eV per atom: -7.4078



4.
# PBE-GGA TaNbSi2SO12, relaxed
data_TaNbSi2SO12
_cell_length_a 8.895
_cell_length_b 8.907
_cell_length_c 22.933
_cell_angle_alpha 89.18
_cell_angle_beta 89.94
_cell_angle_gamma 60.12
_symmetry_space_group_name_H-M 'P 1'
_symmetry_Int_Tables_number 1
loop_
_symmetry_equiv_pos_as_xyz
'x,y,z'
loop_
_atom_site_label
_atom_site_type_symbol
_atom_site_fract_x
_atom_site_fract_y
_atom_site_fract_z
Ta1 Ta 0.000 0.000 0.000
Ta2 Ta 0.002 0.001 0.500
Ta3 Ta 0.334 0.333 0.666
Ta4 Ta 0.667 0.668 0.334
Ta5 Ta 0.684 0.667 0.550
Ta6 Ta 0.986 0.000 0.716
Nb1 Nb 0.018 0.001 0.217
Nb2 Nb 0.317 0.334 0.383
Nb3 Nb 0.336 0.335 0.166
Nb4 Nb 0.351 0.335 0.883
Nb5 Nb 0.651 0.668 0.050
Nb6 Nb 0.670 0.667 0.833
Si1 Si 0.005 0.274 0.608
Si2 Si 0.049 0.334 0.274
Si3 Si 0.058 0.607 0.774
Si4 Si 0.285 0.000 0.107
Si5 Si 0.340 0.607 0.275
Si6 Si 0.383 0.668 0.941
Si7 Si 0.390 0.940 0.441
Si8 Si 0.620 0.332 0.774
Si9 Si 0.672 0.941 0.941
Si10 Si 0.718 0.999 0.608
Si11 Si 0.725 0.273 0.108
Si12 Si 0.951 0.668 0.441
S1 S 0.002 0.710 0.107
S2 S 0.291 0.709 0.607
S3 S 0.335 0.043 0.774
S4 S 0.625 0.041 0.274
S5 S 0.670 0.376 0.441
S6 S 0.959 0.375 0.941
O1 O 0.030 0.161 0.266
O2 O 0.033 0.790 0.054
O3 O 0.035 0.154 0.551
O4 O 0.045 0.795 0.762
O5 O 0.135 0.346 0.932
O6 O 0.144 0.494 0.433
O7 O 0.147 0.356 0.218
O8 O 0.148 0.487 0.717
O9 O 0.162 0.535 0.114
O10 O 0.165 0.794 0.263
O11 O 0.166 0.022 0.051
O12 O 0.171 0.302 0.620
O13 O 0.173 0.295 0.332
O14 O 0.177 0.509 0.832
O15 O 0.181 0.787 0.555
O16 O 0.186 0.015 0.764
O17 O 0.193 0.831 0.954
O18 O 0.197 0.967 0.454
O19 O 0.200 0.962 0.165
O20 O 0.216 0.812 0.660
O21 O 0.306 0.145 0.826
O22 O 0.307 0.534 0.615
O23 O 0.311 0.165 0.120
O24 O 0.318 0.508 0.332
O25 O 0.364 0.494 0.933
O26 O 0.366 0.123 0.721
O27 O 0.369 0.488 0.217
O28 O 0.378 0.127 0.430
O29 O 0.467 0.681 0.598
O30 O 0.478 0.827 0.099
O31 O 0.481 0.689 0.884
O32 O 0.481 0.820 0.384
O33 O 0.494 0.868 0.780
O34 O 0.497 0.128 0.929
O35 O 0.500 0.355 0.718
O36 O 0.505 0.635 0.287
O37 O 0.507 0.628 0.999
O38 O 0.510 0.840 0.499
O39 O 0.516 0.117 0.222
O40 O 0.522 0.348 0.432
O41 O 0.528 0.164 0.620
O42 O 0.531 0.300 0.120
O43 O 0.534 0.294 0.832
O44 O 0.550 0.144 0.327
O45 O 0.641 0.865 0.282
O46 O 0.643 0.479 0.493
O47 O 0.645 0.497 0.787
O48 O 0.651 0.842 0.998
O49 O 0.697 0.827 0.599
O50 O 0.702 0.454 0.388
O51 O 0.702 0.821 0.884
O52 O 0.711 0.461 0.096
O53 O 0.802 0.013 0.266
O54 O 0.812 0.160 0.765
O55 O 0.814 0.154 0.051
O56 O 0.815 0.022 0.551
O57 O 0.830 0.201 0.449
O58 O 0.830 0.461 0.596
O59 O 0.833 0.689 0.384
O60 O 0.838 0.968 0.953
O61 O 0.842 0.962 0.665
O62 O 0.843 0.175 0.165
O63 O 0.849 0.451 0.888
O64 O 0.854 0.682 0.098
O65 O 0.860 0.498 0.287
O66 O 0.865 0.629 0.499
O67 O 0.865 0.634 0.786
O68 O 0.884 0.477 0.993
O69 O 0.975 0.198 0.949
O70 O 0.975 0.812 0.160
O71 O 0.977 0.832 0.454
O72 O 0.985 0.175 0.665
# DFT total energy, eV per atom: -8.0596



no.,energy relative to the elements (eV per atom)
1,-2.284
2,-2.025
3,-2.628
4,-2.879